The following is a DFT calculation (PBE with a Hubbard U) of crystalline LiFe2OF5 at its relaxed geometry.

Corrected total energy (MP2020 scheme)   -0.4579 Ry per atom
Total DFT energy (no corrections)   -145.69 eV per cell
Polymorph energy (0 for the lowest one)   44 meV/atom
Calculated density   3.8 g cm⁻³
Calculated formation energy   -2.5225 eV per atom

a = 4.5724 Å, b = 8.6731 Å, c = 8.6954 Å
α = 60.17°, β = 89.21°, γ = 88.65°
With the nearest neighbours (Å) after each atom.
Space group P1 (No. 1)
One atom of each set of equivalent atoms:
Li 0.0000 0.0000 0.0000 x1  1 O 2.02, 5 F 2.03-2.08
Li 0.0071 0.6714 0.6666 x1  1 O 2.02, 5 F 2.03-2.07
Li 0.5066 0.3391 0.3321 x1  1 O 2.01, 5 F 2.03-2.06
Fe 0.0182 0.3229 0.6598 x1  1 O 1.86, 5 F 2.00-2.06
Fe 0.0204 0.6356 0.0297 x1  1 O 1.85, 4 F 2.00-2.06
Fe 0.0225 0.0074 0.3436 x1  1 O 1.87, 5 F 2.00-2.08
Fe 0.4883 0.9928 0.6954 x1  1 O 1.86, 5 F 2.00-2.08
Fe 0.4898 0.3409 0.9938 x1  1 O 1.87, 5 F 2.01-2.06
Fe 0.4901 0.6918 0.3457 x1  1 O 1.85, 4 F 2.01-2.05
O 0.2387 0.1125 0.7738 x1  2 Fe 1.86, 1 Li 2.02
O 0.2442 0.7953 0.4410 x1  2 Fe 1.85-1.87, 1 Li 2.02
O 0.2724 0.4411 0.1073 x1  2 Fe 1.85-1.87, 1 Li 2.01
F 0.2406 0.7703 0.1235 x1  2 Fe 2.02-2.05, 1 Li 2.03
F 0.2425 0.1184 0.1111 x1  2 Fe 2.02-2.04, 1 Li 2.07
F 0.2462 0.4416 0.7732 x1  2 Fe 2.01-2.05, 1 Li 2.03
F 0.2460 0.7733 0.7944 x1  2 Fe 2.01-2.06, 1 Li 2.07
F 0.2696 0.4574 0.4448 x1  2 Fe 2.00-2.05, 1 Li 2.03
F 0.2716 0.1111 0.4551 x1  2 Fe 2.00-2.07, 1 Li 2.04
F 0.7390 0.2185 0.5616 x1  2 Fe 2.01-2.07, 1 Li 2.03
F 0.7403 0.5665 0.2310 x1  2 Fe 2.00-2.12, 1 Li 2.04
F 0.7477 0.2202 0.2161 x1  2 Fe 2.03-2.05, 1 Li 2.06
F 0.7568 0.2364 0.8792 x1  2 Fe 2.03-2.05, 1 Li 2.08
F 0.7604 0.8989 0.2293 x1  2 Fe 2.01-2.08, 1 Li 2.05
F 0.7614 0.8710 0.9020 x1  2 Fe 2.00-2.11, 1 Li 2.05
F 0.7647 0.9057 0.5616 x1  2 Fe 2.02-2.08, 1 Li 2.07
F 0.7684 0.5544 0.5527 x1  2 Fe 2.03-2.06, 1 Li 2.07
F 0.7695 0.5513 0.8961 x1  2 Fe 2.03-2.06, 1 Li 2.04